(1)
A plane-wave DFT calculation with GGA-PBE was carried out for a geometry-optimized Na3Ca2PS2O12 structure.

## Properties
The energy relative to the elements is -2.600 eV/atom.

Cell: 16.309 9.401 23.247 Å, 90.00 90.20 90.00°
Space group Cc (No. 9)
Unique sites:
Na  0.000  0.127  0.000 [4 per cell]
Na  0.016  0.170  0.651 [4 per cell]
Na  0.158  0.002  0.577 [4 per cell]
Na  0.175  0.354  0.828 [4 per cell]
Na  0.328  0.187  0.986 [4 per cell]
Na  0.334  0.497  0.410 [4 per cell]
Na  0.341  0.145  0.668 [4 per cell]
Na  0.481  0.318  0.827 [4 per cell]
Na  0.497  0.019  0.743 [4 per cell]
Ca  0.010  0.500  0.091 [4 per cell]
Ca  0.172  0.011  0.229 [4 per cell]
Ca  0.172  0.012  0.425 [4 per cell]
Ca  0.334  0.500  0.063 [4 per cell]
Ca  0.337  0.497  0.258 [4 per cell]
Ca  0.498  0.006  0.895 [4 per cell]
P  0.001  0.189  0.495 [4 per cell]
P  0.322  0.158  0.826 [4 per cell]
P  0.488  0.348  0.660 [4 per cell]
S  0.020  0.152  0.827 [4 per cell]
S  0.156  0.343  0.989 [4 per cell]
S  0.168  0.311  0.327 [4 per cell]
S  0.183  0.344  0.663 [4 per cell]
S  0.338  0.192  0.157 [4 per cell]
S  0.353  0.150  0.497 [4 per cell]
O  0.006  0.279  0.550 [4 per cell]
O  0.016  0.309  0.830 [4 per cell]
O  0.061  0.091  0.878 [4 per cell]
O  0.069  0.117  0.774 [4 per cell]
O  0.073  0.076  0.162 [4 per cell]
O  0.075  0.084  0.493 [4 per cell]
O  0.093  0.403  0.329 [4 per cell]
O  0.097  0.398  0.659 [4 per cell]
O  0.104  0.381  0.039 [4 per cell]
O  0.118  0.393  0.935 [4 per cell]
O  0.159  0.219  0.276 [4 per cell]
O  0.163  0.184  0.990 [4 per cell]
O  0.175  0.224  0.379 [4 per cell]
O  0.179  0.184  0.663 [4 per cell]
O  0.220  0.396  0.717 [4 per cell]
O  0.233  0.387  0.613 [4 per cell]
O  0.240  0.404  0.994 [4 per cell]
O  0.240  0.407  0.324 [4 per cell]
O  0.268  0.089  0.161 [4 per cell]
O  0.273  0.076  0.491 [4 per cell]
O  0.273  0.118  0.881 [4 per cell]
O  0.278  0.107  0.771 [4 per cell]
O  0.328  0.326  0.827 [4 per cell]
O  0.330  0.274  0.103 [4 per cell]
O  0.342  0.289  0.207 [4 per cell]
O  0.343  0.307  0.498 [4 per cell]
O  0.392  0.097  0.550 [4 per cell]
O  0.407  0.118  0.447 [4 per cell]
O  0.412  0.099  0.827 [4 per cell]
O  0.416  0.107  0.158 [4 per cell]
O  0.420  0.403  0.994 [4 per cell]
O  0.437  0.383  0.714 [4 per cell]
O  0.437  0.414  0.324 [4 per cell]
O  0.445  0.407  0.605 [4 per cell]
O  0.494  0.182  0.658 [4 per cell]
O  0.495  0.214  0.941 [4 per cell]

=====

(2)
A plane-wave DFT calculation with GGA-PBE was carried out for a geometry-optimized SiO2 structure.

## Properties
For the piezoelectric modulus e_max, the calculation gives 0.191 C/m2. The energy relative to the elements is -3.175 eV/atom.

Cell: 7.090 8.446 5.507 Å, 90.00 100.70 90.00°
Space group C2 (No. 5)
Unique sites:
Si  0.213  0.000  0.288 [4 per cell]
Si  0.228  0.874  0.791 [4 per cell]
O  0.000  0.920  0.250 [4 per cell]
O  0.180  0.419  0.922 [4 per cell]
O  0.186  0.469  0.424 [4 per cell]
O  0.221  0.189  0.243 [4 per cell]

=====

Q: Among the records above, which one has the highest energy relative to the elements?
A: Na3Ca2PS2O12